(1)
! ZnPH5C2N4O3 | Materials Project | PBE | optimized geometry; values from VASP
&SYSTEM
  ibrav = 0, nat = 64, ntyp = 6
/
ATOMIC_SPECIES
Zn 65.41 Zn.upf
P 30.97 P.upf
H 1.01 H.upf
C 12.01 C.upf
N 14.01 N.upf
O 16.00 O.upf
CELL_PARAMETERS angstrom
9.8901 0.0000 0.0000
0.0000 8.4019 0.0000
-2.3407 0.0000 9.0956
ATOMIC_POSITIONS crystal
Zn 0.1768 0.1056 0.4596
Zn 0.1768 0.3944 0.9596
Zn 0.8232 0.6056 0.0404
Zn 0.8232 0.8944 0.5404
P 0.0202 0.1637 0.7099
P 0.0202 0.3363 0.2099
P 0.9798 0.6637 0.7901
P 0.9798 0.8363 0.2901
H 0.0035 0.6884 0.3616
H 0.0035 0.8116 0.8616
H 0.1739 0.0227 0.9982
H 0.1739 0.4773 0.4982
H 0.2254 0.5840 0.6636
H 0.2254 0.9160 0.1636
H 0.2782 0.5215 0.3087
H 0.2782 0.9785 0.8087
H 0.4051 0.6650 0.3234
H 0.4051 0.8350 0.8234
H 0.5949 0.1650 0.1766
H 0.5949 0.3350 0.6766
H 0.7218 0.0215 0.1913
H 0.7218 0.4785 0.6913
H 0.7746 0.0840 0.8364
H 0.7746 0.4160 0.3364
H 0.8261 0.5227 0.5018
H 0.8261 0.9773 0.0018
H 0.9965 0.1884 0.1384
H 0.9965 0.3116 0.6384
C 0.3382 0.6297 0.5112
C 0.3382 0.8703 0.0112
C 0.4726 0.2042 0.4390
C 0.4726 0.2958 0.9390
C 0.5274 0.7042 0.0610
C 0.5274 0.7958 0.5610
C 0.6618 0.1297 0.9888
C 0.6618 0.3703 0.4888
N 0.2424 0.5543 0.5640
N 0.2424 0.9457 0.0640
N 0.3514 0.5921 0.3764
N 0.3514 0.9079 0.8764
N 0.3729 0.1469 0.4668
N 0.3729 0.3531 0.9668
N 0.4208 0.7389 0.5984
N 0.4208 0.7611 0.0984
N 0.5792 0.2389 0.9016
N 0.5792 0.2611 0.4016
N 0.6271 0.6469 0.0332
N 0.6271 0.8531 0.5332
N 0.6486 0.0921 0.1236
N 0.6486 0.4079 0.6236
N 0.7576 0.0543 0.9360
N 0.7576 0.4457 0.4360
O 0.0716 0.1965 0.8762
O 0.0716 0.3035 0.3762
O 0.1209 0.5756 0.8250
O 0.1209 0.9244 0.3250
O 0.1332 0.0762 0.6516
O 0.1332 0.4238 0.1516
O 0.8668 0.5762 0.8484
O 0.8668 0.9238 0.3484
O 0.8791 0.0756 0.6750
O 0.8791 0.4244 0.1750
O 0.9284 0.6965 0.6238
O 0.9284 0.8035 0.1238
! Total energy in eV per atom: -6.329
! Calculated formation energy in eV per atom: -0.8153
! Symmetry: No. 14
! Energy with MP2020 corrections in eV per atom: -6.458
! Mass density in g cm⁻³: 2.0

=====

(2)
! ZnPH7C2N4O5 | Materials Project | PBE | optimized geometry; values from VASP
&SYSTEM
  ibrav = 0, nat = 80, ntyp = 6
/
ATOMIC_SPECIES
Zn 65.41 Zn.upf
P 30.97 P.upf
H 1.01 H.upf
C 12.01 C.upf
N 14.01 N.upf
O 16.00 O.upf
CELL_PARAMETERS angstrom
13.8191 0.0000 0.0000
0.0000 5.1540 0.0000
-1.1260 0.0000 10.6732
ATOMIC_POSITIONS crystal
Zn 0.0007 0.2037 0.1421
Zn 0.0007 0.2963 0.6421
Zn 0.9993 0.7037 0.3579
Zn 0.9993 0.7963 0.8579
P 0.1258 0.7250 0.1185
P 0.1258 0.7750 0.6185
P 0.8742 0.2250 0.3815
P 0.8742 0.2750 0.8815
H 0.1723 0.2285 0.4371
H 0.1723 0.2715 0.9371
H 0.2100 0.0193 0.3193
H 0.2100 0.4807 0.8193
H 0.2692 0.5467 0.5155
H 0.2692 0.9533 0.0155
H 0.3400 0.6555 0.1138
H 0.3400 0.8445 0.6138
H 0.3486 0.0985 0.2317
H 0.3486 0.4015 0.7317
H 0.4255 0.1372 0.7883
H 0.4255 0.3628 0.2883
H 0.4462 0.0025 0.5695
H 0.4462 0.4975 0.0695
H 0.5538 0.5025 0.9305
H 0.5538 0.9975 0.4305
H 0.5745 0.6372 0.7117
H 0.5745 0.8628 0.2117
H 0.6514 0.5985 0.2683
H 0.6514 0.9015 0.7683
H 0.6600 0.1555 0.3862
H 0.6600 0.3445 0.8862
H 0.7308 0.0467 0.9845
H 0.7308 0.4533 0.4845
H 0.7900 0.5193 0.1807
H 0.7900 0.9807 0.6807
H 0.8277 0.7285 0.0629
H 0.8277 0.7715 0.5629
C 0.3021 0.1852 0.8710
C 0.3021 0.3148 0.3710
C 0.3985 0.6886 0.4625
C 0.3985 0.8114 0.9625
C 0.6015 0.1886 0.0375
C 0.6015 0.3114 0.5375
C 0.6979 0.6852 0.6290
C 0.6979 0.8148 0.1290
N 0.2211 0.1786 0.3765
N 0.2211 0.3214 0.8765
N 0.3206 0.5132 0.4542
N 0.3206 0.9868 0.9542
N 0.3647 0.2477 0.7898
N 0.3647 0.2523 0.2898
N 0.3971 0.6465 0.0592
N 0.3971 0.8535 0.5592
N 0.6029 0.1465 0.4408
N 0.6029 0.3535 0.9408
N 0.6353 0.7477 0.7102
N 0.6353 0.7523 0.2102
N 0.6794 0.0132 0.0458
N 0.6794 0.4868 0.5458
N 0.7789 0.6786 0.1235
N 0.7789 0.8214 0.6235
O 0.0495 0.6493 0.7031
O 0.0495 0.8507 0.2031
O 0.1073 0.0700 0.6083
O 0.1073 0.4300 0.1083
O 0.1067 0.6422 0.4876
O 0.1067 0.8578 0.9876
O 0.2296 0.7092 0.6752
O 0.2296 0.7908 0.1752
O 0.4620 0.6877 0.3870
O 0.4620 0.8123 0.8870
O 0.5380 0.1877 0.1130
O 0.5380 0.3123 0.6130
O 0.7704 0.2092 0.8248
O 0.7704 0.2908 0.3248
O 0.8933 0.1422 0.0124
O 0.8933 0.3578 0.5124
O 0.8927 0.5700 0.8917
O 0.8927 0.9300 0.3917
O 0.9505 0.1493 0.7969
O 0.9505 0.3507 0.2969
! Total energy in eV per atom: -6.246
! Calculated formation energy in eV per atom: -1.0691
! Symmetry: No. 14
! Energy with MP2020 corrections in eV per atom: -6.417
! Mass density in g cm⁻³: 2.3

=====

(3)
! ZnP3H16C3NO12 | Materials Project | PBE | optimized geometry; values from VASP
&SYSTEM
  ibrav = 0, nat = 144, ntyp = 6
/
ATOMIC_SPECIES
Zn 65.41 Zn.upf
P 30.97 P.upf
H 1.01 H.upf
C 12.01 C.upf
N 14.01 N.upf
O 16.00 O.upf
CELL_PARAMETERS angstrom
9.2986 0.0000 0.0000
0.0000 16.3642 0.0000
-4.2125 0.0000 8.8940
ATOMIC_POSITIONS crystal
Zn 0.0428 0.2093 0.1703
Zn 0.0428 0.2907 0.6703
Zn 0.9572 0.7093 0.3297
Zn 0.9572 0.7907 0.8297
P 0.0406 0.1197 0.8815
P 0.0406 0.3803 0.3815
P 0.3230 0.7157 0.0103
P 0.3230 0.7843 0.5103
P 0.4439 0.0366 0.7201
P 0.4439 0.4634 0.2201
P 0.5561 0.5366 0.7799
P 0.5561 0.9634 0.2799
P 0.6770 0.2157 0.4897
P 0.6770 0.2843 0.9897
P 0.9594 0.6197 0.6185
P 0.9594 0.8803 0.1185
H 0.0879 0.5739 0.8759
H 0.0879 0.9261 0.3759
H 0.0906 0.0031 0.2489
H 0.0906 0.4969 0.7489
H 0.0993 0.6673 0.1467
H 0.0993 0.8327 0.6467
H 0.1828 0.6168 0.2962
H 0.1828 0.8832 0.7962
H 0.1902 0.2317 0.5095
H 0.1902 0.2683 0.0095
H 0.2456 0.7010 0.7390
H 0.2456 0.7990 0.2390
H 0.2654 0.0831 0.8696
H 0.2654 0.4169 0.3696
H 0.2702 0.1817 0.6686
H 0.2702 0.3183 0.1686
H 0.2777 0.5682 0.6033
H 0.2777 0.9318 0.1033
H 0.2810 0.1105 0.4162
H 0.2810 0.3895 0.9162
H 0.2965 0.0246 0.2012
H 0.2965 0.4754 0.7012
H 0.3426 0.5480 0.9241
H 0.3426 0.9520 0.4241
H 0.3571 0.1664 0.3328
H 0.3571 0.3336 0.8328
H 0.4241 0.5966 0.2351
H 0.4241 0.9034 0.7351
H 0.4474 0.6752 0.8527
H 0.4474 0.8248 0.3527
H 0.4723 0.6679 0.5788
H 0.4723 0.8321 0.0788
H 0.5277 0.1679 0.9212
H 0.5277 0.3321 0.4212
H 0.5526 0.1752 0.6473
H 0.5526 0.3248 0.1473
H 0.5759 0.0966 0.2649
H 0.5759 0.4034 0.7649
H 0.6429 0.6664 0.1672
H 0.6429 0.8336 0.6672
H 0.6574 0.0480 0.5759
H 0.6574 0.4520 0.0759
H 0.7035 0.5246 0.2988
H 0.7035 0.9754 0.7988
H 0.7190 0.6105 0.0838
H 0.7190 0.8895 0.5838
H 0.7223 0.0682 0.8967
H 0.7223 0.4318 0.3967
H 0.7298 0.6817 0.8314
H 0.7298 0.8183 0.3314
H 0.7346 0.5831 0.6304
H 0.7346 0.9169 0.1304
H 0.7544 0.2010 0.7610
H 0.7544 0.2990 0.2610
H 0.8098 0.7317 0.9905
H 0.8098 0.7683 0.4905
H 0.8172 0.1168 0.2038
H 0.8172 0.3832 0.7038
H 0.9007 0.1673 0.3533
H 0.9007 0.3327 0.8533
H 0.9094 0.5031 0.2511
H 0.9094 0.9969 0.7511
H 0.9121 0.0739 0.6241
H 0.9121 0.4261 0.1241
C 0.1095 0.5621 0.7764
C 0.1095 0.9379 0.2764
C 0.3254 0.6686 0.8413
C 0.3254 0.8314 0.3413
C 0.3379 0.5389 0.7135
C 0.3379 0.9611 0.2135
C 0.6621 0.0389 0.7865
C 0.6621 0.4611 0.2865
C 0.6746 0.1686 0.6587
C 0.6746 0.3314 0.1587
C 0.8905 0.0621 0.7236
C 0.8905 0.4379 0.2236
N 0.2836 0.5794 0.8209
N 0.2836 0.9206 0.3209
N 0.7164 0.0794 0.6791
N 0.7164 0.4206 0.1791
O 0.0009 0.6165 0.4853
O 0.0009 0.8835 0.9853
O 0.0628 0.2042 0.8306
O 0.0628 0.2958 0.3306
O 0.0799 0.6386 0.2259
O 0.0799 0.8614 0.7259
O 0.1541 0.7178 0.9977
O 0.1541 0.7822 0.4977
O 0.1932 0.0646 0.9158
O 0.1932 0.4354 0.4158
O 0.2077 0.2302 0.6152
O 0.2077 0.2698 0.1152
O 0.2562 0.1549 0.3407
O 0.2562 0.3451 0.8407
O 0.3690 0.0351 0.5495
O 0.3690 0.4649 0.0495
O 0.3795 0.6948 0.4936
O 0.3795 0.8052 0.9936
O 0.3937 0.1079 0.7921
O 0.3937 0.3921 0.2921
O 0.4127 0.5450 0.2891
O 0.4127 0.9550 0.7891
O 0.4446 0.6716 0.1473
O 0.4446 0.8284 0.6473
O 0.5554 0.1716 0.3527
O 0.5554 0.3284 0.8527
O 0.5873 0.0450 0.2109
O 0.5873 0.4550 0.7109
O 0.6063 0.6079 0.7079
O 0.6063 0.8921 0.2079
O 0.6205 0.1948 0.0064
O 0.6205 0.3052 0.5064
O 0.6310 0.5351 0.9505
O 0.6310 0.9649 0.4505
O 0.7438 0.6549 0.1593
O 0.7438 0.8451 0.6593
O 0.7923 0.7302 0.8848
O 0.7923 0.7698 0.3848
O 0.8068 0.5646 0.5842
O 0.8068 0.9354 0.0842
O 0.8459 0.2178 0.5023
O 0.8459 0.2822 0.0023
O 0.9201 0.1386 0.2741
O 0.9201 0.3614 0.7741
O 0.9372 0.7042 0.6694
O 0.9372 0.7958 0.1694
O 0.9991 0.1165 0.0147
O 0.9991 0.3835 0.5147
! Total energy in eV per atom: -5.690
! Calculated formation energy in eV per atom: -1.2748
! Symmetry: No. 14
! Energy with MP2020 corrections in eV per atom: -5.919
! Mass density in g cm⁻³: 2.0

=====

(4)
! ZnP2H3C4NO8 | Materials Project | PBE | optimized geometry; values from VASP
&SYSTEM
  ibrav = 0, nat = 38, ntyp = 6
/
ATOMIC_SPECIES
Zn 65.41 Zn.upf
P 30.97 P.upf
H 1.01 H.upf
C 12.01 C.upf
N 14.01 N.upf
O 16.00 O.upf
CELL_PARAMETERS angstrom
0.0000 8.0160 7.4262
4.9974 0.0000 7.4262
4.9974 8.0160 0.0000
ATOMIC_POSITIONS crystal
Zn 0.0000 0.0000 0.0000
Zn 0.2500 0.2500 0.2500
P 0.9999 0.6792 0.2571
P 0.1861 0.9929 0.5708
P 0.6792 0.9999 0.0639
P 0.9929 0.1861 0.2501
H 0.0096 0.0096 0.4904
H 0.4758 0.8457 0.3465
H 0.7596 0.7596 0.2404
H 0.8457 0.4758 0.3321
H 0.9035 0.9179 0.7742
H 0.9179 0.9035 0.4043
C 0.2384 0.3532 0.7851
C 0.3532 0.2384 0.6233
C 0.3540 0.4046 0.7683
C 0.4046 0.3540 0.4731
C 0.4649 0.6267 0.0116
C 0.4817 0.7769 0.8960
C 0.6267 0.4649 0.8968
C 0.7769 0.4817 0.8454
N 0.4034 0.4034 0.5966
N 0.6534 0.6534 0.8466
O 0.0301 0.9834 0.6087
O 0.0974 0.7561 0.0762
O 0.1421 0.5079 0.2773
O 0.1738 0.1798 0.1526
O 0.1772 0.9727 0.7421
O 0.1798 0.1738 0.4939
O 0.3665 0.8280 0.4256
O 0.5079 0.1421 0.0728
O 0.6413 0.8722 0.2199
O 0.7561 0.0974 0.0702
O 0.8244 0.8701 0.8835
O 0.8280 0.3665 0.3799
O 0.8701 0.8244 0.4220
O 0.8722 0.6413 0.2666
O 0.9727 0.1772 0.1079
O 0.9834 0.0301 0.3778
! Total energy in eV per atom: -6.117
! Calculated formation energy in eV per atom: -0.7691
! Symmetry: No. 43
! Energy with MP2020 corrections in eV per atom: -6.406
! Mass density in g cm⁻³: 1.8